No. 1
The following is a DFT calculation (GGA-PBE) of Pr5Sn3 after structural relaxation.

Cell lengths 9.4174, 9.4174, 6.8340 Å; angles 90.00, 90.00, 120.00 degrees
Last column: nearest neighbours and their distance in Å.
Positions (direct):
Pr  0.0000  0.2445  0.2500  3 Sn 3.22-3.44
Pr  0.0000  0.7555  0.7500  3 Sn 3.22-3.44
Pr  0.2445  0.0000  0.2500  3 Sn 3.22-3.44
Pr  0.2445  0.2445  0.7500  3 Sn 3.22-3.44
Pr  0.3333  0.6667  0.0000  6 Sn 3.37, 2 Pr 3.42
Pr  0.3333  0.6667  0.5000  6 Sn 3.37, 2 Pr 3.42
Pr  0.6667  0.3333  0.0000  6 Sn 3.37, 2 Pr 3.42
Pr  0.6667  0.3333  0.5000  6 Sn 3.37, 2 Pr 3.42
Pr  0.7555  0.0000  0.7500  3 Sn 3.22-3.44
Pr  0.7555  0.7555  0.2500  3 Sn 3.22-3.44
Sn  0.0000  0.3905  0.7500  7 Pr 3.22-3.44
Sn  0.0000  0.6095  0.2500  7 Pr 3.22-3.44
Sn  0.3905  0.0000  0.7500  7 Pr 3.22-3.44
Sn  0.3905  0.3905  0.2500  7 Pr 3.22-3.44
Sn  0.6095  0.0000  0.2500  7 Pr 3.22-3.44
Sn  0.6095  0.6095  0.7500  7 Pr 3.22-3.44

The relative energy among the computed polymorphs comes out at 0.004 eV per atom.

=====

No. 2
The following is a DFT calculation (GGA-PBE) of PrSn3 after structural relaxation.

Cell lengths 4.7963, 4.7963, 4.7963 Å; angles 90.00, 90.00, 90.00 degrees
Last column: nearest neighbours and their distance in Å.
Positions (direct):
Pr  0.0000  0.0000  0.0000  12 Sn 3.39
Sn  0.0000  0.5000  0.5000  8 Sn 3.39, 4 Pr 3.39
Sn  0.5000  0.0000  0.5000  8 Sn 3.39, 4 Pr 3.39
Sn  0.5000  0.5000  0.0000  8 Sn 3.39, 4 Pr 3.39

=====

No. 3
The following is a DFT calculation (GGA-PBE) of Pr5Sn3 after structural relaxation.

Cell lengths 9.5068, 9.5068, 9.5068 Å; angles 96.28, 96.28, 141.38 degrees
Last column: nearest neighbours and their distance in Å.
Positions (direct):
Pr  0.0839  0.7834  0.8673  6 Sn 3.32-3.64, 1 Pr 3.58
Pr  0.2166  0.0839  0.3005  6 Sn 3.32-3.64, 1 Pr 3.58
Pr  0.2500  0.7500  0.5000  2 Pr 3.14, 4 Sn 3.28
Pr  0.2834  0.5839  0.8673  6 Sn 3.32-3.64, 1 Pr 3.58
Pr  0.4161  0.2834  0.6995  6 Sn 3.32-3.64, 1 Pr 3.58
Pr  0.5839  0.7166  0.3005  6 Sn 3.32-3.64, 1 Pr 3.58
Pr  0.7166  0.4161  0.1327  6 Sn 3.32-3.64, 1 Pr 3.58
Pr  0.7500  0.2500  0.5000  2 Pr 3.14, 4 Sn 3.28
Pr  0.7834  0.9161  0.6995  6 Sn 3.32-3.64, 1 Pr 3.58
Pr  0.9161  0.2166  0.1327  6 Sn 3.32-3.64, 1 Pr 3.58
Sn  0.1602  0.3398  0.5000  10 Pr 3.28-3.64
Sn  0.2500  0.2500  0.0000  2 Sn 3.14, 8 Pr 3.34
Sn  0.3398  0.8398  0.1795  10 Pr 3.28-3.64
Sn  0.6602  0.1602  0.8205  10 Pr 3.28-3.64
Sn  0.7500  0.7500  0.0000  2 Sn 3.14, 8 Pr 3.34
Sn  0.8398  0.6602  0.5000  10 Pr 3.28-3.64

The relative energy among the computed polymorphs comes out at 0.000 eV per atom.

=====

Number 1: final energy -5.168 eV/atom, theoretical density 6.71 Mg/m³. Number 2: final energy -4.710 eV/atom, theoretical density 7.48 Mg/m³. Number 3: final energy -5.172 eV/atom, theoretical density 6.96 Mg/m³.